[1]
The following is a GGA-PBE calculation of a geometry-optimized AgBiS2 structure, from the Materials Project database.

```
4
Lattice="0.633 2.025 -3.450 0.633 -2.025 -3.450 -5.843 0.000 -3.450" Properties=species:S:1:pos:R:3 pbc="T T T"
Bi 0.000 0.000 0.000
S -3.384 0.000 -7.753
Ag -2.288 0.000 -5.174
S -1.193 0.000 -2.596
```

[2]
The following is a GGA-PBE calculation of a geometry-optimized AgBiS2 structure, from the Materials Project database.

Results
Maximum piezoelectric response in C/m²: 24.84

```
8
Lattice="-4.679 1.971 2.412 1.813 -1.796 5.008 1.164 5.171 4.590" Properties=species:S:1:pos:R:3 pbc="T T T"
Bi -0.612 3.071 2.910
S 0.323 2.247 5.342
Bi 1.614 4.703 5.863
Ag -2.063 3.169 6.613
S -2.170 5.763 10.705
Ag 0.198 4.780 9.580
S -1.105 2.222 9.068
S -1.804 0.558 2.429
```

[3]
The following is a GGA-PBE calculation of a geometry-optimized AgBiS2 structure, from the Materials Project database.

```
12
Lattice="2.024 -3.506 0.000 2.024 3.506 0.000 0.000 0.000 19.110" Properties=species:S:1:pos:R:3 pbc="T T T"
S 2.024 1.169 7.903
Bi 0.000 0.000 9.555
Ag 2.024 1.169 12.779
S 0.000 0.000 14.318
Ag 0.000 0.000 0.000
S 2.024 -1.169 1.515
S 0.000 0.000 4.792
Ag 2.024 -1.169 6.331
Bi 2.024 1.169 3.155
S 2.024 1.169 17.595
Bi 2.024 -1.169 15.956
S 2.024 -1.169 11.207
```

[4]
The following is a GGA-PBE calculation of a geometry-optimized Ag2Bi2SeS3 structure, from the Materials Project database.

```
8
Lattice="4.796 -4.320 2.853 -3.190 -4.890 3.964 -0.985 2.182 -6.639" Properties=species:S:1:pos:R:3 pbc="T T T"
Ag -1.686 -3.658 0.369
S 2.701 -5.633 1.486
S 1.200 -6.883 5.095
Se 0.398 -2.285 1.691
Ag 1.599 -9.170 6.788
Bi 2.310 -3.388 -0.176
Bi 0.812 -4.659 3.449
S 1.914 -1.119 -1.856
```

[5]
The following is a GGA-PBE calculation of a geometry-optimized AgBiSeS structure, from the Materials Project database.

```
4
Lattice="4.024 0.000 0.000 0.000 4.024 0.000 0.000 0.000 5.922" Properties=species:S:1:pos:R:3 pbc="T T T"
Bi 2.012 2.012 2.961
Se 2.012 2.012 0.000
Ag 0.000 0.000 0.000
S 0.000 0.000 2.961
```

[6]
The following is a GGA-PBE calculation of a geometry-optimized Ag2BiSbSe4 structure, from the Materials Project database.

```
8
Lattice="5.731 2.878 3.204 -0.914 7.075 0.701 -4.170 -5.569 1.729" Properties=species:S:1:pos:R:3 pbc="T T T"
Se 3.637 7.515 2.948
Sb 0.000 0.000 0.000
Se -0.143 5.709 3.159
Se -2.531 0.774 1.223
Se 1.180 2.438 0.956
Ag 2.408 4.977 1.952
Ag -1.337 3.242 2.191
Bi 1.985 1.143 3.443
```

[7]
The following is a GGA-PBE calculation of a geometry-optimized AgBiTeSe structure, from the Materials Project database.

```
4
Lattice="-0.300 -2.727 -3.183 -0.353 -3.164 2.743 -6.254 0.693 -0.004" Properties=species:S:1:pos:R:3 pbc="T T T"
Te -0.326 -2.945 -0.220
Ag 0.000 0.000 0.000
Se -3.127 0.347 -0.002
Bi -3.453 -2.599 -0.222
```

[8]
The following is a GGA-PBE calculation of a geometry-optimized AgBr structure, from the Materials Project database.

```
4
Lattice="0.000 -4.112 0.000 -4.155 0.000 0.000 0.000 -0.117 -5.845" Properties=species:S:1:pos:R:3 pbc="T T T"
Ag -3.116 -3.283 -1.402
Br -3.116 -3.061 -4.352
Ag -1.039 -0.947 -4.443
Br -1.039 -1.168 -1.493
```

Number 1: E_form -46 kJ per mole of atoms. Number 2: E_form -43 kJ per mole of atoms. Number 3: E_form -46 kJ per mole of atoms. Number 4: E_form -37 kJ per mole of atoms. Number 5: E_form -26 kJ per mole of atoms. Number 6: E_form -40 kJ per mole of atoms. Number 7: E_form -26 kJ per mole of atoms. Number 8: E_form -57 kJ per mole of atoms.